1.
Nd4B4O11F2: relaxed, PBE-GGA.

```
data_Nd4B4O11F2
_cell_length_a 7.3804
_cell_length_b 7.3804
_cell_length_c 14.0496
_cell_angle_alpha 91.03
_cell_angle_beta 91.03
_cell_angle_gamma 37.47
_space_group_name_H-M_alt 'P 1'
_space_group_IT_number 1
loop_
_space_group_symop_operation_xyz
'x,y,z'
loop_
_atom_site_label
_atom_site_type_symbol
_atom_site_fract_x
_atom_site_fract_y
_atom_site_fract_z
_atom_site_occupancy
Nd1 Nd 0.0345 0.0821 0.3706 1
Nd2 Nd 0.0821 0.0345 0.8706 1
Nd3 Nd 0.1998 0.2419 0.1286 1
Nd4 Nd 0.2419 0.1998 0.6286 1
Nd5 Nd 0.7581 0.8002 0.3714 1
Nd6 Nd 0.8002 0.7581 0.8714 1
Nd7 Nd 0.9179 0.9655 0.1294 1
Nd8 Nd 0.9655 0.9179 0.6294 1
B1 B 0.3581 0.4531 0.4733 1
B2 B 0.3877 0.4271 0.7851 1
B3 B 0.4271 0.3877 0.2851 1
B4 B 0.4531 0.3581 0.9733 1
B5 B 0.5469 0.6419 0.0267 1
B6 B 0.5729 0.6123 0.7149 1
B7 B 0.6123 0.5729 0.2149 1
B8 B 0.6419 0.5469 0.5267 1
O1 O 0.0860 0.7542 0.4636 1
O2 O 0.1220 0.6786 0.2748 1
O3 O 0.1468 0.5106 0.7426 1
O4 O 0.2458 0.9140 0.0364 1
O5 O 0.2866 0.5383 0.8929 1
O6 O 0.3214 0.8780 0.2252 1
O7 O 0.3285 0.4455 0.0623 1
O8 O 0.3558 0.6442 0.7500 1
O9 O 0.4455 0.3285 0.5623 1
O10 O 0.4617 0.7134 0.6071 1
O11 O 0.4894 0.8532 0.7574 1
O12 O 0.5106 0.1468 0.2426 1
O13 O 0.5383 0.2866 0.3929 1
O14 O 0.5545 0.6715 0.4377 1
O15 O 0.6442 0.3558 0.2500 1
O16 O 0.6715 0.5545 0.9377 1
O17 O 0.6786 0.1220 0.7748 1
O18 O 0.7134 0.4617 0.1071 1
O19 O 0.7542 0.0860 0.9636 1
O20 O 0.8532 0.4894 0.2574 1
O21 O 0.8780 0.3214 0.7252 1
O22 O 0.9140 0.2458 0.5364 1
F1 F 0.2074 0.2534 0.4244 1
F2 F 0.2534 0.2074 0.9244 1
F3 F 0.7466 0.7926 0.0756 1
F4 F 0.7926 0.7466 0.5756 1
```

SG ... C2/c
Energy of formation from the pure elements ... -3.53 eV/atom

=====

2.
Sc2ReB6: relaxed, PBE-GGA.

```
data_Sc2ReB6
_cell_length_a 8.9321
_cell_length_b 11.2211
_cell_length_c 3.5176
_cell_angle_alpha 90.00
_cell_angle_beta 90.00
_cell_angle_gamma 90.00
_space_group_name_H-M_alt 'P 1'
_space_group_IT_number 1
loop_
_space_group_symop_operation_xyz
'x,y,z'
loop_
_atom_site_label
_atom_site_type_symbol
_atom_site_fract_x
_atom_site_fract_y
_atom_site_fract_z
_atom_site_occupancy
Sc1 Sc 0.0552 0.1287 0.0000 1
Sc2 Sc 0.1777 0.4131 0.0000 1
Sc3 Sc 0.3223 0.9131 0.0000 1
Sc4 Sc 0.4448 0.6287 0.0000 1
Sc5 Sc 0.5552 0.3713 0.0000 1
Sc6 Sc 0.6777 0.0869 0.0000 1
Sc7 Sc 0.8223 0.5869 0.0000 1
Sc8 Sc 0.9448 0.8713 0.0000 1
Re1 Re 0.1403 0.6797 0.0000 1
Re2 Re 0.3597 0.1797 0.0000 1
Re3 Re 0.6403 0.8203 0.0000 1
Re4 Re 0.8597 0.3203 0.0000 1
B1 B 0.0200 0.2875 0.5000 1
B2 B 0.0534 0.5651 0.5000 1
B3 B 0.0974 0.9727 0.5000 1
B4 B 0.1309 0.8176 0.5000 1
B5 B 0.2037 0.2355 0.5000 1
B6 B 0.2459 0.0778 0.5000 1
B7 B 0.2541 0.5778 0.5000 1
B8 B 0.2963 0.7355 0.5000 1
B9 B 0.3691 0.3176 0.5000 1
B10 B 0.4026 0.4727 0.5000 1
B11 B 0.4466 0.0651 0.5000 1
B12 B 0.4800 0.7875 0.5000 1
B13 B 0.5200 0.2125 0.5000 1
B14 B 0.5534 0.9349 0.5000 1
B15 B 0.5974 0.5273 0.5000 1
B16 B 0.6309 0.6824 0.5000 1
B17 B 0.7037 0.2645 0.5000 1
B18 B 0.7459 0.4222 0.5000 1
B19 B 0.7541 0.9222 0.5000 1
B20 B 0.7963 0.7645 0.5000 1
B21 B 0.8691 0.1824 0.5000 1
B22 B 0.9026 0.0273 0.5000 1
B23 B 0.9466 0.4349 0.5000 1
B24 B 0.9800 0.7125 0.5000 1
```

SG ... Pbam
Energy of formation from the pure elements ... -0.73 eV/atom